1.
Here is an optimized crystal structure of Na6Sn2C4SO16 from the Materials Project database. Energies are from PBE.

Values from the calculation:
VASP energy (eV per atom): -6.306
Calculated formation energy (eV/f.u.): -57.68
Symmetry: Fd-3, No. 203

Cell: 10.3238 10.3238 10.3238 Å, 60.00 60.00 60.00°
Fractional coordinates of all 58 atoms:
O: 0.4276 0.1908 0.1908
O: 0.8531 0.7282 0.4381
O: 0.8531 0.9806 0.7282
O: 0.8531 0.4381 0.9806
O: 0.9806 0.8531 0.4381
O: 0.5218 0.2694 0.8119
O: 0.4381 0.7282 0.9806
O: 0.9806 0.4381 0.7282
O: 0.0592 0.0592 0.0592
O: 0.7282 0.9806 0.4381
O: 0.8119 0.5218 0.2694
O: 0.1908 0.4276 0.1908
O: 0.5218 0.8119 0.3969
O: 0.7282 0.8531 0.9806
O: 0.3969 0.2694 0.5218
O: 0.4381 0.9806 0.8531
O: 0.8119 0.3969 0.5218
O: 0.2694 0.5218 0.3969
O: 0.3969 0.5218 0.8119
O: 0.5218 0.3969 0.2694
O: 0.4381 0.8531 0.7282
O: 0.2694 0.8119 0.5218
O: 0.0592 0.8224 0.0592
O: 0.0592 0.0592 0.8224
O: 0.2694 0.3969 0.8119
O: 0.8119 0.2694 0.3969
O: 0.8224 0.0592 0.0592
O: 0.9806 0.7282 0.8531
O: 0.3969 0.8119 0.2694
O: 0.1908 0.1908 0.4276
O: 0.7282 0.4381 0.8531
O: 0.1908 0.1908 0.1908
Na: 0.0425 0.4575 0.0425
Na: 0.4575 0.0425 0.4575
Na: 0.0425 0.0425 0.4575
Na: 0.7925 0.2075 0.2075
Na: 0.4575 0.0425 0.0425
Na: 0.2075 0.7925 0.7925
Na: 0.2075 0.2075 0.7925
Na: 0.4575 0.4575 0.0425
Na: 0.0425 0.4575 0.4575
Na: 0.7925 0.7925 0.2075
Na: 0.7925 0.2075 0.7925
Na: 0.2075 0.7925 0.2075
C: 0.8117 0.3961 0.3961
C: 0.8539 0.8539 0.4383
C: 0.8539 0.4383 0.8539
C: 0.3961 0.3961 0.8117
C: 0.3961 0.3961 0.3961
C: 0.8539 0.8539 0.8539
C: 0.4383 0.8539 0.8539
C: 0.3961 0.8117 0.3961
S: 0.0000 0.0000 0.0000
S: 0.2500 0.2500 0.2500
Sn: 0.6250 0.6250 0.1250
Sn: 0.6250 0.6250 0.6250
Sn: 0.6250 0.1250 0.6250
Sn: 0.1250 0.6250 0.6250



2.
Here is an optimized crystal structure of Fe3Cu from the Materials Project database. Energies are from PBE.

Values from the calculation:
VASP energy (eV per atom): -7.307
Calculated formation energy (eV/f.u.): 0.28
Symmetry: Cmmm, No. 65

Cell: 2.4655 2.4655 8.1999 Å, 90.00 90.00 108.94°
Fractional coordinates of all 4 atoms:
Cu: 0.0000 0.0000 0.0000
Fe: 0.5000 0.5000 0.7467
Fe: 0.5000 0.5000 0.2533
Fe: 0.0000 0.0000 0.5000



3.
Here is an optimized crystal structure of Ca2AlH10ClO8 from the Materials Project database. Energies are from PBE.

Values from the calculation:
VASP energy (eV per atom): -4.980
Calculated formation energy (eV/f.u.): -31.94
Symmetry: C2/c, No. 15

Cell: 10.7429 8.8581 8.8581 Å, 41.85 100.38 100.38°
Fractional coordinates of all 44 atoms:
O: 0.8864 0.7332 0.1846
O: 0.1403 0.8683 0.1164
O: 0.3556 0.0895 0.2615
O: 0.8556 0.7615 0.5895
O: 0.5693 0.1552 0.0024
O: 0.1136 0.2668 0.8154
O: 0.6403 0.6164 0.3683
O: 0.1444 0.2385 0.4105
O: 0.6136 0.3154 0.7668
O: 0.3597 0.3836 0.6317
O: 0.9307 0.4976 0.3448
O: 0.0693 0.5024 0.6552
O: 0.8597 0.1317 0.8836
O: 0.6444 0.9105 0.7385
O: 0.4307 0.8448 0.9976
O: 0.3864 0.6846 0.2332
Cl: 0.2500 0.7649 0.7351
Cl: 0.7500 0.2351 0.2649
H: 0.5143 0.5635 0.7866
H: 0.3729 0.7947 0.9376
H: 0.1271 0.5624 0.7053
H: 0.0430 0.7394 0.8798
H: 0.4570 0.6202 0.7606
H: 0.9857 0.7134 0.9365
H: 0.3198 0.9831 0.4113
H: 0.6271 0.2053 0.0624
H: 0.1802 0.0887 0.5169
H: 0.4857 0.4365 0.2134
H: 0.6802 0.0169 0.5887
H: 0.0143 0.2866 0.0635
H: 0.8198 0.9113 0.4831
H: 0.5430 0.3798 0.2394
H: 0.5950 0.7921 0.7607
H: 0.8729 0.4376 0.2947
H: 0.9570 0.2606 0.1202
H: 0.0950 0.2607 0.2921
H: 0.9050 0.7393 0.7079
H: 0.4050 0.2079 0.2393
Ca: 0.6737 0.9221 0.0044
Ca: 0.8263 0.4956 0.5779
Ca: 0.1737 0.5044 0.4221
Ca: 0.3263 0.0779 0.9956
Al: 0.0000 0.0000 0.0000
Al: 0.5000 0.5000 0.5000